# Cs4GeP4Se12 | the Materials Project | PBE | relaxed
# - E_tot (eV/cell) = -334.27
# - total magnetization (μB/f.u.) = 0.0
# - formation energy from the elements (eV/atom) = -0.830
data_Cs4GeP4Se12
_symmetry_space_group_name_H-M 'P c a 21'
_symmetry_Int_Tables_number 29
_cell_length_a 15.072
_cell_length_b 7.994
_cell_length_c 25.335
_cell_angle_alpha 90.00
_cell_angle_beta 90.00
_cell_angle_gamma 90.00
loop_
_symmetry_equiv_pos_as_xyz
'x,y,z'
'-x,-y,z+1/2'
'-x+1/2,y,z+1/2'
'x+1/2,-y,z'
loop_
_atom_site_label
_atom_site_type_symbol
_atom_site_fract_x
_atom_site_fract_y
_atom_site_fract_z
_atom_site_occupancy
Cs1 Cs 0.037 0.229 0.000 1
Cs2 Cs 0.125 0.269 0.394 1
Cs3 Cs 0.172 0.683 0.123 1
Cs4 Cs 0.176 0.716 0.770 1
Ge1 Ge 0.077 0.172 0.692 1
P1 P 0.044 0.727 0.302 1
P2 P 0.096 0.226 0.835 1
P3 P 0.107 0.330 0.559 1
P4 P 0.203 0.116 0.579 1
Se1 Se 0.010 0.758 0.018 1
Se2 Se 0.051 0.934 0.238 1
Se3 Se 0.054 0.487 0.263 1
Se4 Se 0.069 0.430 0.643 1
Se5 Se 0.102 0.990 0.876 1
Se6 Se 0.107 0.951 0.630 1
Se7 Se 0.133 0.445 0.881 1
Se8 Se 0.136 0.787 0.364 1
Se9 Se 0.182 0.525 0.521 1
Se10 Se 0.186 0.225 0.759 1
Se11 Se 0.190 0.202 0.130 1
Se12 Se 0.232 0.984 0.508 1

=====

# Cs2Ge2S5 | the Materials Project | PBE | relaxed
# - E_tot (eV/cell) = -311.05
# - formation energy from the elements (eV/atom) = -1.075
data_Cs2Ge2S5
_symmetry_space_group_name_H-M 'C 1 2/c 1'
_symmetry_Int_Tables_number 15
_cell_length_a 16.150
_cell_length_b 16.265
_cell_length_c 9.672
_cell_angle_alpha 90.00
_cell_angle_beta 105.36
_cell_angle_gamma 90.00
loop_
_symmetry_equiv_pos_as_xyz
'x,y,z'
'-x,-y,-z'
'-x,y,-z+1/2'
'x,-y,z+1/2'
'x+1/2,y+1/2,z'
'-x+1/2,-y+1/2,-z'
'-x+1/2,y+1/2,-z+1/2'
'x+1/2,-y+1/2,z+1/2'
loop_
_atom_site_label
_atom_site_type_symbol
_atom_site_fract_x
_atom_site_fract_y
_atom_site_fract_z
_atom_site_occupancy
Cs1 Cs 0.134 0.073 0.139 1
Cs2 Cs 0.154 0.366 0.370 1
Ge1 Ge 0.064 0.205 0.620 1
Ge2 Ge 0.102 0.367 0.894 1
S1 S 0.000 0.122 0.750 1
S2 S 0.000 0.448 0.750 1
S3 S 0.040 0.283 0.027 1
S4 S 0.117 0.130 0.482 1
S5 S 0.166 0.286 0.760 1
S6 S 0.198 0.440 0.036 1

=====

# CsTaGeS5 | the Materials Project | PBE | relaxed
# - E_tot (eV/cell) = -89.86
# - total magnetization (μB/f.u.) = 0.0
# - formation energy from the elements (eV/atom) = -1.173
data_CsTaGeS5
_symmetry_space_group_name_H-M 'P -1'
_symmetry_Int_Tables_number 2
_cell_length_a 7.062
_cell_length_b 7.486
_cell_length_c 9.540
_cell_angle_alpha 67.35
_cell_angle_beta 77.48
_cell_angle_gamma 74.84
loop_
_symmetry_equiv_pos_as_xyz
'x,y,z'
'-x,-y,-z'
loop_
_atom_site_label
_atom_site_type_symbol
_atom_site_fract_x
_atom_site_fract_y
_atom_site_fract_z
_atom_site_occupancy
Cs1 Cs 0.105 0.351 0.312 1
Ta1 Ta 0.260 0.972 0.996 1
Ge1 Ge 0.477 0.702 0.372 1
S1 S 0.062 0.784 0.969 1
S2 S 0.191 0.862 0.286 1
S3 S 0.289 0.120 0.711 1
S4 S 0.423 0.610 0.634 1
S5 S 0.430 0.239 0.986 1

=====

# Cs2ZnGe3Se8 | the Materials Project | PBE | relaxed
# - E_tot (eV/cell) = -215.62
# - total magnetization (μB/f.u.) = 0.0
# - formation energy from the elements (eV/atom) = -0.914
data_Cs2ZnGe3Se8
_symmetry_space_group_name_H-M 'P 21 21 21'
_symmetry_Int_Tables_number 19
_cell_length_a 7.801
_cell_length_b 13.776
_cell_length_c 18.029
_cell_angle_alpha 90.00
_cell_angle_beta 90.00
_cell_angle_gamma 90.00
loop_
_symmetry_equiv_pos_as_xyz
'x,y,z'
'-x+1/2,-y,z+1/2'
'x+1/2,-y+1/2,-z'
'-x,y+1/2,-z+1/2'
loop_
_atom_site_label
_atom_site_type_symbol
_atom_site_fract_x
_atom_site_fract_y
_atom_site_fract_z
_atom_site_occupancy
Cs1 Cs 0.246 0.191 0.347 1
Cs2 Cs 0.248 0.127 0.947 1
Zn1 Zn 0.007 0.997 0.652 1
Ge1 Ge 0.016 0.519 0.347 1
Ge2 Ge 0.235 0.545 0.678 1
Ge3 Ge 0.237 0.554 0.017 1
Se1 Se 0.003 0.412 0.240 1
Se2 Se 0.005 0.405 0.451 1
Se3 Se 0.009 0.104 0.764 1
Se4 Se 0.013 0.107 0.541 1
Se5 Se 0.236 0.114 0.150 1
Se6 Se 0.236 0.376 0.640 1
Se7 Se 0.239 0.382 0.845 1
Se8 Se 0.240 0.386 0.055 1

=====

# Cs2GeTe4 | the Materials Project | PBE | relaxed
# - E_tot (eV/cell) = -92.26
# - formation energy from the elements (eV/atom) = -0.824
data_Cs2GeTe4
_symmetry_space_group_name_H-M 'P n m a'
_symmetry_Int_Tables_number 62
_cell_length_a 12.877
_cell_length_b 11.823
_cell_length_c 7.738
_cell_angle_alpha 90.00
_cell_angle_beta 90.00
_cell_angle_gamma 90.00
loop_
_symmetry_equiv_pos_as_xyz
'x,y,z'
'-x,-y,-z'
'-x+1/2,-y,z+1/2'
'x+1/2,y,-z+1/2'
'x+1/2,-y+1/2,-z+1/2'
'-x+1/2,y+1/2,z+1/2'
'-x,y+1/2,-z'
'x,-y+1/2,z'
loop_
_atom_site_label
_atom_site_type_symbol
_atom_site_fract_x
_atom_site_fract_y
_atom_site_fract_z
_atom_site_occupancy
Cs1 Cs 0.146 0.056 0.098 1
Ge1 Ge 0.063 0.750 0.493 1
Te1 Te 0.067 0.077 0.586 1
Te2 Te 0.118 0.750 0.817 1
Te3 Te 0.211 0.750 0.257 1

=====

# Cs3GeTe3 | the Materials Project | PBE | relaxed
# - E_tot (eV/cell) = -179.75
# - formation energy from the elements (eV/atom) = -0.999
data_Cs3GeTe3
_symmetry_space_group_name_H-M 'C 1 2/c 1'
_symmetry_Int_Tables_number 15
_cell_length_a 17.463
_cell_length_b 14.715
_cell_length_c 10.450
_cell_angle_alpha 90.00
_cell_angle_beta 96.15
_cell_angle_gamma 90.00
loop_
_symmetry_equiv_pos_as_xyz
'x,y,z'
'-x,-y,-z'
'-x,y,-z+1/2'
'x,-y,z+1/2'
'x+1/2,y+1/2,z'
'-x+1/2,-y+1/2,-z'
'-x+1/2,y+1/2,-z+1/2'
'x+1/2,-y+1/2,z+1/2'
loop_
_atom_site_label
_atom_site_type_symbol
_atom_site_fract_x
_atom_site_fract_y
_atom_site_fract_z
_atom_site_occupancy
Cs1 Cs 0.000 0.083 0.250 1
Cs2 Cs 0.000 0.397 0.250 1
Cs3 Cs 0.094 0.309 0.633 1
Cs4 Cs 0.218 0.027 0.686 1
Ge1 Ge 0.182 0.258 0.039 1
Te1 Te 0.087 0.138 0.925 1
Te2 Te 0.125 0.420 0.979 1
Te3 Te 0.188 0.234 0.290 1

=====

# Cs6ZnGe8 | the Materials Project | PBE | relaxed
# - E_tot (eV/cell) = -559.35
# - total magnetization (μB/f.u.) = 0.0
# - formation energy from the elements (eV/atom) = -0.200
data_Cs6ZnGe8
_symmetry_space_group_name_H-M 'F m m 2'
_symmetry_Int_Tables_number 42
_symmetry_space_group_name_Hall 'F 2 -2'
_cell_length_a 22.447
_cell_length_b 23.773
_cell_length_c 12.683
_cell_angle_alpha 90.00
_cell_angle_beta 90.00
_cell_angle_gamma 90.00
loop_
_atom_site_label
_atom_site_type_symbol
_atom_site_fract_x
_atom_site_fract_y
_atom_site_fract_z
_atom_site_occupancy
Cs1 Cs 0.000 0.000 0.000 1
Cs2 Cs 0.000 0.000 0.331 1
Cs3 Cs 0.000 0.169 0.314 1
Cs4 Cs 0.000 0.183 0.000 1
Cs5 Cs 0.145 0.181 0.566 1
Cs6 Cs 0.147 0.000 0.558 1
Cs7 Cs 0.186 0.000 0.892 1
Cs8 Cs 0.191 0.171 0.883 1
Zn1 Zn 0.000 0.000 0.702 1
Zn2 Zn 0.167 0.000 0.206 1
Ge1 Ge 0.000 0.094 0.582 1
Ge2 Ge 0.000 0.179 0.705 1
Ge3 Ge 0.060 0.093 0.766 1
Ge4 Ge 0.112 0.094 0.129 1
Ge5 Ge 0.158 0.094 0.323 1
Ge6 Ge 0.167 0.180 0.203 1
Ge7 Ge 0.230 0.093 0.154 1

=====

# CsH | the Materials Project | PBE | relaxed
# - E_tot (eV/cell) = -18.22
# - formation energy from the elements (eV/atom) = -0.223
data_CsH
_symmetry_space_group_name_H-M 'F m -3 m'
_symmetry_Int_Tables_number 225
_symmetry_space_group_name_Hall '-F 4 2 3'
_cell_length_a 6.445
_cell_length_b 6.445
_cell_length_c 6.445
_cell_angle_alpha 90.00
_cell_angle_beta 90.00
_cell_angle_gamma 90.00
loop_
_atom_site_label
_atom_site_type_symbol
_atom_site_fract_x
_atom_site_fract_y
_atom_site_fract_z
_atom_site_occupancy
Cs1 Cs 0.000 0.000 0.000 1
H1 H 0.000 0.000 0.500 1